Compound: RbTlF4
Source: the Materials Project
Functional: r2SCAN
Structure: optimized geometry

Cell: 6.222 8.293 8.426 Å, 90.00 90.00 90.00°
Sites, in units of the cell vectors:
F  0.303  0.577  0.067
F  0.303  0.923  0.567
Rb  0.516  0.810  0.250
F  0.886  0.475  0.250
Rb  0.484  0.310  0.250
F  0.859  0.750  0.000
Tl  0.000  0.500  0.000
F  0.141  0.250  0.500
F  0.303  0.923  0.933
F  0.114  0.975  0.250
F  0.303  0.577  0.433
F  0.697  0.077  0.067
F  0.697  0.423  0.933
F  0.697  0.077  0.433
Tl  0.000  0.500  0.500
Tl  0.000  0.000  0.000
Tl  0.000  0.000  0.500
Rb  0.484  0.190  0.750
F  0.697  0.423  0.567
F  0.141  0.250  0.000
Rb  0.516  0.690  0.750
F  0.859  0.750  0.500
F  0.114  0.525  0.750
F  0.886  0.025  0.750

Compound: Rb3TmF6
Source: the Materials Project
Functional: r2SCAN
Structure: optimized geometry

Cell: 6.689 6.689 6.689 Å, 60.00 60.00 60.00°
Sites, in units of the cell vectors:
Tm  0.000  0.000  0.000
Rb  0.250  0.250  0.250
F  0.776  0.776  0.224
F  0.224  0.224  0.776
Rb  0.750  0.750  0.750
F  0.224  0.776  0.776
F  0.776  0.224  0.224
F  0.224  0.776  0.224
F  0.776  0.224  0.776
Rb  0.500  0.500  0.500

Compound: RbU3F13
Source: the Materials Project
Functional: r2SCAN
Structure: optimized geometry

Cell: 7.342 7.968 8.454 Å, 90.00 90.00 90.00°
Sites, in units of the cell vectors:
U  0.896  0.253  0.124
F  0.535  0.000  0.731
U  0.611  0.000  0.461
Rb  0.395  0.500  0.264
F  0.192  0.171  0.100
F  0.049  0.304  0.366
U  0.104  0.747  0.624
F  0.727  0.500  0.088
F  0.935  0.500  0.612
F  0.899  0.000  0.996
F  0.679  0.742  0.321
F  0.321  0.258  0.821
U  0.389  0.000  0.961
F  0.808  0.829  0.600
F  0.388  0.806  0.508
F  0.321  0.742  0.821
F  0.951  0.696  0.866
F  0.273  0.500  0.588
U  0.896  0.747  0.124
F  0.612  0.806  0.008
F  0.388  0.194  0.508
F  0.808  0.171  0.600
F  0.863  0.000  0.282
F  0.679  0.258  0.321
F  0.465  0.000  0.231
F  0.049  0.696  0.366
F  0.192  0.829  0.100
F  0.612  0.194  0.008
F  0.101  0.000  0.496
U  0.104  0.253  0.624
F  0.137  0.000  0.782
F  0.065  0.500  0.112
F  0.951  0.304  0.866
Rb  0.605  0.500  0.764

Compound: Rb2UF7
Source: the Materials Project
Functional: r2SCAN
Structure: optimized geometry

Cell: 13.306 6.244 9.007 Å, 90.63 90.00 90.00°
Sites, in units of the cell vectors:
F  0.636  0.286  0.977
F  0.106  0.967  0.097
Rb  0.438  0.722  0.331
F  0.930  0.920  0.620
U  0.874  0.212  0.704
F  0.239  0.970  0.800
F  0.894  0.033  0.903
U  0.374  0.788  0.796
F  0.136  0.714  0.523
F  0.025  0.315  0.684
Rb  0.774  0.724  0.440
U  0.126  0.788  0.296
F  0.607  0.454  0.385
Rb  0.062  0.722  0.831
F  0.257  0.540  0.809
Rb  0.562  0.278  0.669
Rb  0.226  0.276  0.560
F  0.261  0.970  0.300
Rb  0.726  0.724  0.940
F  0.475  0.315  0.184
F  0.364  0.714  0.023
F  0.606  0.033  0.403
F  0.394  0.967  0.597
F  0.739  0.030  0.700
F  0.864  0.286  0.477
F  0.393  0.546  0.615
F  0.975  0.685  0.316
F  0.893  0.454  0.885
F  0.743  0.460  0.191
F  0.243  0.540  0.309
F  0.761  0.030  0.200
F  0.757  0.460  0.691
F  0.070  0.080  0.380
F  0.570  0.920  0.120
Rb  0.938  0.278  0.169
F  0.107  0.546  0.115
U  0.626  0.212  0.204
Rb  0.274  0.276  0.060
F  0.525  0.685  0.816
F  0.430  0.080  0.880

Compound: Rb2UF6
Source: the Materials Project
Functional: r2SCAN
Structure: optimized geometry

Cell: 6.991 6.991 7.517 Å, 90.00 90.00 120.57°
Sites, in units of the cell vectors:
F  0.398  0.995  0.750
F  0.005  0.602  0.750
U  0.948  0.052  0.250
F  0.995  0.398  0.250
F  0.102  0.898  0.042
F  0.709  0.693  0.250
F  0.898  0.102  0.542
Rb  0.657  0.343  0.499
F  0.602  0.005  0.250
Rb  0.343  0.657  0.501
U  0.052  0.948  0.750
F  0.102  0.898  0.458
F  0.693  0.709  0.750
F  0.898  0.102  0.958
Rb  0.657  0.343  0.001
F  0.307  0.291  0.250
Rb  0.343  0.657  0.999
F  0.291  0.307  0.750

Compound: Rb3VF6
Source: the Materials Project
Functional: r2SCAN
Structure: optimized geometry

Cell: 6.418 6.418 6.418 Å, 60.00 60.00 60.00°
Sites, in units of the cell vectors:
F  0.786  0.214  0.214
F  0.786  0.786  0.214
Rb  0.750  0.750  0.750
Rb  0.250  0.250  0.250
Rb  0.500  0.500  0.500
F  0.214  0.786  0.214
F  0.214  0.786  0.786
F  0.786  0.214  0.786
V  0.000  0.000  0.000
F  0.214  0.214  0.786

Compound: RbVF3
Source: the Materials Project
Functional: r2SCAN
Structure: optimized geometry

Cell: 4.182 4.182 4.182 Å, 90.00 90.00 90.00°
Sites, in units of the cell vectors:
Rb  0.000  0.000  0.000
F  0.500  0.000  0.500
F  0.500  0.500  0.000
F  0.000  0.500  0.500
V  0.500  0.500  0.500

Compound: Rb3YF6
Source: the Materials Project
Functional: r2SCAN
Structure: optimized geometry

Cell: 6.748 6.748 6.748 Å, 60.00 60.00 60.00°
Sites, in units of the cell vectors:
F  0.774  0.226  0.226
Rb  0.750  0.750  0.750
Rb  0.250  0.250  0.250
Rb  0.500  0.500  0.500
F  0.226  0.774  0.774
F  0.774  0.226  0.774
F  0.226  0.226  0.774
Y  0.000  0.000  0.000
F  0.226  0.774  0.226
F  0.774  0.774  0.226

Compound: RbZnF3
Source: the Materials Project
Functional: r2SCAN
Structure: optimized geometry

Cell: 5.888 5.888 14.414 Å, 90.00 90.00 120.00°
Sites, in units of the cell vectors:
F  0.516  0.032  0.250
Zn  0.333  0.667  0.653
Rb  0.000  0.000  0.250
Zn  0.000  0.000  0.000
Zn  0.667  0.333  0.154
Zn  0.000  0.000  0.500
F  0.331  0.165  0.420
F  0.331  0.166  0.080
F  0.165  0.835  0.580
F  0.166  0.331  0.920
F  0.166  0.834  0.920
F  0.669  0.834  0.920
Zn  0.333  0.667  0.846
F  0.669  0.835  0.580
F  0.165  0.331  0.580
Rb  0.333  0.667  0.096
F  0.032  0.516  0.750
Rb  0.000  0.000  0.750
F  0.516  0.484  0.250
F  0.835  0.669  0.420
F  0.484  0.968  0.750
F  0.968  0.484  0.250
Rb  0.667  0.333  0.596
F  0.835  0.165  0.420
Zn  0.667  0.333  0.347
F  0.484  0.516  0.750
F  0.834  0.669  0.080
F  0.834  0.165  0.080
Rb  0.333  0.667  0.404
Rb  0.667  0.333  0.904

Compound: ReF6
Source: the Materials Project
Functional: r2SCAN
Structure: optimized geometry

Cell: 5.550 5.550 5.550 Å, 109.10 109.18 110.13°
Sites, in units of the cell vectors:
F  0.290  0.000  0.290
F  0.000  0.710  0.710
F  0.287  0.287  0.000
F  0.710  0.000  0.710
F  0.713  0.713  0.000
F  0.000  0.290  0.290
Re  0.000  0.000  0.000

Compound: RhF3
Source: the Materials Project
Functional: r2SCAN
Structure: optimized geometry

Cell: 5.332 5.332 5.332 Å, 54.42 54.42 54.42°
Sites, in units of the cell vectors:
F  0.418  0.750  0.082
Rh  0.000  0.000  0.000
F  0.082  0.418  0.750
Rh  0.500  0.500  0.500
F  0.250  0.918  0.582
F  0.750  0.082  0.418
F  0.582  0.250  0.918
F  0.918  0.582  0.250

Compound: RhF5
Source: the Materials Project
Functional: r2SCAN
Structure: optimized geometry

Cell: 9.734 5.409 12.090 Å, 80.10 90.00 90.00°
Sites, in units of the cell vectors:
F  0.347  0.482  0.247
F  0.566  0.984  0.741
F  0.180  0.272  0.547
F  0.330  0.726  0.454
F  0.832  0.906  0.643
F  0.915  0.399  0.661
F  0.653  0.518  0.753
F  0.827  0.110  0.850
F  0.085  0.195  0.949
F  0.408  0.812  0.044
Rh  0.255  0.996  0.996
F  0.153  0.482  0.747
Rh  0.755  0.004  0.504
F  0.670  0.274  0.546
Rh  0.998  0.304  0.797
F  0.170  0.726  0.954
Rh  0.498  0.696  0.703
F  0.680  0.728  0.953
F  0.934  0.984  0.241
F  0.820  0.728  0.453
F  0.574  0.568  0.353
F  0.592  0.188  0.956
F  0.173  0.890  0.150
F  0.327  0.890  0.650
F  0.668  0.906  0.143
F  0.915  0.805  0.051
F  0.847  0.518  0.253
Rh  0.502  0.304  0.297
F  0.673  0.110  0.350
F  0.066  0.016  0.759
Rh  0.245  0.996  0.496
Rh  0.745  0.004  0.004
F  0.830  0.274  0.046
F  0.074  0.432  0.147
F  0.585  0.805  0.551
F  0.332  0.094  0.857
F  0.434  0.016  0.259
F  0.085  0.601  0.339
F  0.092  0.812  0.544
F  0.585  0.399  0.161
F  0.168  0.094  0.357
F  0.415  0.601  0.839
F  0.426  0.432  0.647
F  0.926  0.568  0.853
F  0.908  0.188  0.456
Rh  0.002  0.696  0.203
F  0.415  0.195  0.449
F  0.320  0.272  0.047

no.,energy of formation (eV/f.u.)
1,-14.223
2,-35.319
3,-67.432
4,-35.909
5,-32.739
6,-30.968
7,-15.339
8,-34.884
9,-13.944
10,-15.235
11,-7.099
12,-8.922